# VGaNi6

A relaxed structure of VGaNi6 (PBE, the Materials Project database).

Unit cell a=3.5606 b=3.5606 c=7.1138 alpha=90.00 beta=90.00 gamma=90.00
Fractional coordinates of all 8 atoms:
V (0.0000, 0.0000, 0.5000)
Ga (0.0000, 0.0000, 0.0000)
Ni (0.5000, 0.5000, 0.0000)
Ni (0.5000, 0.5000, 0.5000)
Ni (0.5000, 0.0000, 0.2577)
Ni (0.5000, 0.0000, 0.7423)
Ni (0.0000, 0.5000, 0.2577)
Ni (0.0000, 0.5000, 0.7423)

Space group = P4/mmm, No. 123
Energy of formation = -6.95 kcal/mol of atoms

# TmH3O3

A relaxed structure of TmH3O3 (PBE, the Materials Project database).

Unit cell a=6.1622 b=10.5187 c=14.5147 alpha=46.72 beta=90.00 gamma=90.00
Fractional coordinates of all 56 atoms:
Tm (0.4641, 0.1694, 0.8323)
Tm (0.4743, 0.6637, 0.8343)
Tm (0.9743, 0.3363, 0.6657)
Tm (0.9641, 0.8306, 0.6677)
Tm (0.0359, 0.1694, 0.3323)
Tm (0.0257, 0.6637, 0.3343)
Tm (0.5257, 0.3363, 0.1657)
Tm (0.5359, 0.8306, 0.1677)
H (0.6275, 0.7050, 0.9990)
H (0.7933, 0.9206, 0.9654)
H (0.8511, 0.2308, 0.9007)
H (0.0715, 0.7006, 0.9071)
H (0.7728, 0.4927, 0.7968)
H (0.1529, 0.9844, 0.8130)
H (0.2728, 0.5073, 0.7032)
H (0.6529, 0.0156, 0.6870)
H (0.3511, 0.7692, 0.5993)
H (0.5715, 0.2994, 0.5929)
H (0.8725, 0.7050, 0.4990)
H (0.2933, 0.0794, 0.5346)
H (0.7067, 0.9206, 0.4654)
H (0.1275, 0.2950, 0.5010)
H (0.4285, 0.7006, 0.4071)
H (0.6489, 0.2308, 0.4007)
H (0.3471, 0.9844, 0.3130)
H (0.7272, 0.4927, 0.2968)
H (0.8471, 0.0156, 0.1870)
H (0.2272, 0.5073, 0.2032)
H (0.9285, 0.2994, 0.0929)
H (0.1489, 0.7692, 0.0993)
H (0.2067, 0.0794, 0.0346)
H (0.3725, 0.2950, 0.0010)
O (0.3890, 0.3883, 0.0005)
O (0.6386, 0.9089, 0.9841)
O (0.7784, 0.2945, 0.8198)
O (0.1493, 0.7772, 0.8265)
O (0.7669, 0.5948, 0.7875)
O (0.1558, 0.0799, 0.8108)
O (0.2669, 0.4052, 0.7125)
O (0.2784, 0.7055, 0.6802)
O (0.6558, 0.9201, 0.6892)
O (0.6493, 0.2228, 0.6735)
O (0.8890, 0.6117, 0.4995)
O (0.1386, 0.0911, 0.5159)
O (0.8614, 0.9089, 0.4841)
O (0.1110, 0.3883, 0.5005)
O (0.3507, 0.7772, 0.3265)
O (0.3442, 0.0799, 0.3108)
O (0.7216, 0.2945, 0.3198)
O (0.7331, 0.5948, 0.2875)
O (0.8442, 0.9201, 0.1892)
O (0.2331, 0.4052, 0.2125)
O (0.8507, 0.2228, 0.1735)
O (0.2216, 0.7055, 0.1802)
O (0.3614, 0.0911, 0.0159)
O (0.6110, 0.6117, 0.9995)

E above lowest polymorph = 0.0 meV/atom
Space group = P2_1/c, No. 14
Energy of formation = -52.03 kcal/mol of atoms

# MnCoCu4Sn2S8

A relaxed structure of MnCoCu4Sn2S8 (PBE, the Materials Project database).

Unit cell a=5.4354 b=6.6747 c=10.1812 alpha=90.25 beta=105.47 gamma=114.00
Fractional coordinates of all 16 atoms:
Mn (0.3750, 0.6250, 0.1247)
Co (0.8749, 0.1250, 0.6252)
Cu (0.6237, 0.3735, 0.8733)
Cu (0.1261, 0.8764, 0.3766)
Cu (0.9971, 0.0004, 0.9985)
Cu (0.5027, 0.4997, 0.5015)
Sn (0.2510, 0.7503, 0.7480)
Sn (0.7487, 0.2497, 0.2520)
S (0.4241, 0.3073, 0.0507)
S (0.9186, 0.8213, 0.5535)
S (0.2059, 0.5775, 0.3213)
S (0.7138, 0.0804, 0.8122)
S (0.3073, 0.4144, 0.6833)
S (0.8292, 0.9305, 0.1861)
S (0.0438, 0.6853, 0.9419)
S (0.5580, 0.1832, 0.4513)

Space group = P1, No. 1
Energy of formation = -14.23 kcal/mol of atoms

# Na2Zn3S4

A relaxed structure of Na2Zn3S4 (PBE, the Materials Project database).

Unit cell a=6.8555 b=7.7656 c=14.1314 alpha=90.00 beta=90.00 gamma=90.00
Fractional coordinates of all 36 atoms:
Na (0.0373, 0.6153, 0.1010)
Na (0.5373, 0.3847, 0.3990)
Na (0.9627, 0.8847, 0.6010)
Na (0.4627, 0.1153, 0.8990)
Na (0.9627, 0.3847, 0.8990)
Na (0.4627, 0.6153, 0.6010)
Na (0.0373, 0.1153, 0.3990)
Na (0.5373, 0.8847, 0.1010)
Zn (0.2154, 0.8422, 0.7980)
Zn (0.7154, 0.1578, 0.7020)
Zn (0.7846, 0.6578, 0.2980)
Zn (0.2846, 0.3422, 0.2020)
Zn (0.7846, 0.1578, 0.2020)
Zn (0.2846, 0.8422, 0.2980)
Zn (0.2154, 0.3422, 0.7020)
Zn (0.7154, 0.6578, 0.7980)
Zn (0.0000, 0.0000, 0.0000)
Zn (0.5000, 0.0000, 0.5000)
Zn (0.0000, 0.5000, 0.5000)
Zn (0.5000, 0.5000, 0.0000)
S (0.7461, 0.6659, 0.9646)
S (0.2461, 0.3341, 0.5354)
S (0.2539, 0.8341, 0.4646)
S (0.7539, 0.1659, 0.0354)
S (0.2539, 0.3341, 0.0354)
S (0.7539, 0.6659, 0.4646)
S (0.7461, 0.1659, 0.5354)
S (0.2461, 0.8341, 0.9646)
S (0.9640, 0.8840, 0.2311)
S (0.4640, 0.1160, 0.2689)
S (0.0360, 0.6160, 0.7311)
S (0.5360, 0.3840, 0.7689)
S (0.0360, 0.1160, 0.7689)
S (0.5360, 0.8840, 0.7311)
S (0.9640, 0.3840, 0.2689)
S (0.4640, 0.6160, 0.2311)

E above lowest polymorph = 5.3 meV/atom
Space group = Pbca, No. 61
Energy of formation = -24.26 kcal/mol of atoms

# Pr3NbCl3O6

A relaxed structure of Pr3NbCl3O6 (PBE, the Materials Project database).

Unit cell a=9.5543 b=9.5543 c=5.3641 alpha=90.00 beta=90.00 gamma=120.00
Fractional coordinates of all 26 atoms:
Pr (0.5968, 0.6873, 0.7500)
Pr (0.4032, 0.3127, 0.2500)
Pr (0.0905, 0.4032, 0.7500)
Pr (0.9095, 0.5968, 0.2500)
Pr (0.3127, 0.9095, 0.7500)
Pr (0.6873, 0.0905, 0.2500)
Nb (0.6667, 0.3333, 0.7500)
Nb (0.3333, 0.6667, 0.2500)
Cl (0.8101, 0.0502, 0.7500)
Cl (0.1899, 0.9498, 0.2500)
Cl (0.2401, 0.1899, 0.7500)
Cl (0.7599, 0.8101, 0.2500)
Cl (0.9498, 0.7599, 0.7500)
Cl (0.0502, 0.2401, 0.2500)
O (0.8427, 0.3638, 0.9880)
O (0.1573, 0.6362, 0.0120)
O (0.5211, 0.1573, 0.9880)
O (0.1573, 0.6362, 0.4880)
O (0.4789, 0.8427, 0.0120)
O (0.8427, 0.3638, 0.5120)
O (0.6362, 0.4789, 0.9880)
O (0.4789, 0.8427, 0.4880)
O (0.3638, 0.5211, 0.0120)
O (0.5211, 0.1573, 0.5120)
O (0.3638, 0.5211, 0.4880)
O (0.6362, 0.4789, 0.5120)

Space group = P6_3/m, No. 176
Energy of formation = -70.58 kcal/mol of atoms

# Hf2Ni21B6

A relaxed structure of Hf2Ni21B6 (PBE, the Materials Project database).

Unit cell a=7.4812 b=7.4812 c=7.4812 alpha=60.00 beta=60.00 gamma=60.00
Fractional coordinates of all 29 atoms:
Hf (0.7500, 0.7500, 0.7500)
Hf (0.2500, 0.2500, 0.2500)
Ni (0.0000, 0.0000, 0.0000)
Ni (0.6140, 0.6140, 0.1581)
Ni (0.6140, 0.1581, 0.6140)
Ni (0.1581, 0.6140, 0.6140)
Ni (0.6140, 0.6140, 0.6140)
Ni (0.3860, 0.3860, 0.8419)
Ni (0.3860, 0.8419, 0.3860)
Ni (0.8419, 0.3860, 0.3860)
Ni (0.3860, 0.3860, 0.3860)
Ni (0.0000, 0.0000, 0.3395)
Ni (0.6605, 0.0000, 0.3395)
Ni (0.0000, 0.6605, 0.3395)
Ni (0.6605, 0.3395, 0.0000)
Ni (0.0000, 0.3395, 0.0000)
Ni (0.0000, 0.3395, 0.6605)
Ni (0.3395, 0.6605, 0.0000)
Ni (0.3395, 0.0000, 0.6605)
Ni (0.3395, 0.0000, 0.0000)
Ni (0.0000, 0.0000, 0.6605)
Ni (0.0000, 0.6605, 0.0000)
Ni (0.6605, 0.0000, 0.0000)
B (0.7325, 0.7325, 0.2675)
B (0.2675, 0.7325, 0.2675)
B (0.7325, 0.2675, 0.2675)
B (0.2675, 0.2675, 0.7325)
B (0.7325, 0.2675, 0.7325)
B (0.2675, 0.7325, 0.7325)

Space group = Fm-3m, No. 225
Energy of formation = -10.49 kcal/mol of atoms

# Tm2SiO5

A relaxed structure of Tm2SiO5 (PBE, the Materials Project database).

Unit cell a=6.6930 b=6.7013 c=9.1575 alpha=78.49 beta=90.00 gamma=90.00
Fractional coordinates of all 32 atoms:
Tm (0.1183, 0.2716, 0.5339)
Tm (0.6183, 0.2284, 0.4661)
Tm (0.8817, 0.7284, 0.4661)
Tm (0.3817, 0.7716, 0.5339)
Tm (0.6415, 0.0054, 0.1458)
Tm (0.1415, 0.4946, 0.8542)
Tm (0.3585, 0.9946, 0.8542)
Tm (0.8585, 0.5054, 0.1458)
Si (0.0966, 0.9973, 0.2026)
Si (0.5966, 0.5027, 0.7974)
Si (0.9034, 0.0027, 0.7974)
Si (0.4034, 0.4973, 0.2026)
O (0.8778, 0.4259, 0.3928)
O (0.3778, 0.0741, 0.6072)
O (0.1222, 0.5741, 0.6072)
O (0.6222, 0.9259, 0.3928)
O (0.2955, 0.0024, 0.1001)
O (0.7955, 0.4976, 0.8999)
O (0.7045, 0.9976, 0.8999)
O (0.2045, 0.5024, 0.1001)
O (0.1458, 0.9694, 0.3850)
O (0.6458, 0.5306, 0.6150)
O (0.8542, 0.0306, 0.6150)
O (0.3542, 0.4694, 0.3850)
O (0.5620, 0.3014, 0.2105)
O (0.0620, 0.1986, 0.7895)
O (0.4380, 0.6986, 0.7895)
O (0.9380, 0.8014, 0.2105)
O (0.5635, 0.6819, 0.1476)
O (0.0635, 0.8181, 0.8524)
O (0.4365, 0.3181, 0.8524)
O (0.9365, 0.1819, 0.1476)

Space group = P2_1/c, No. 14
Energy of formation = -88.30 kcal/mol of atoms

# Cs2InHgCl6

A relaxed structure of Cs2InHgCl6 (PBE, the Materials Project database).

Unit cell a=7.7208 b=7.7208 c=7.7208 alpha=60.00 beta=60.00 gamma=60.00
Fractional coordinates of all 10 atoms:
Cs (0.7500, 0.7500, 0.7500)
Cs (0.2500, 0.2500, 0.2500)
In (0.0000, 0.0000, 0.0000)
Hg (0.5000, 0.5000, 0.5000)
Cl (0.7631, 0.2369, 0.2369)
Cl (0.2369, 0.2369, 0.7631)
Cl (0.2369, 0.7631, 0.7631)
Cl (0.2369, 0.7631, 0.2369)
Cl (0.7631, 0.2369, 0.7631)
Cl (0.7631, 0.7631, 0.2369)

Space group = Fm-3m, No. 225
Energy of formation = -39.18 kcal/mol of atoms

# DySbTe3

A relaxed structure of DySbTe3 (PBE, the Materials Project database).

Unit cell a=10.7692 b=10.7692 c=10.7692 alpha=23.34 beta=23.34 gamma=23.34
Fractional coordinates of all 5 atoms:
Dy (0.3976, 0.3976, 0.3976)
Sb (0.6011, 0.6011, 0.6011)
Te (0.0022, 0.0022, 0.0022)
Te (0.2155, 0.2155, 0.2155)
Te (0.7835, 0.7835, 0.7835)

Space group = R3m, No. 160
Energy of formation = -22.90 kcal/mol of atoms

# Hf3Be

A relaxed structure of Hf3Be (PBE, the Materials Project database).

Unit cell a=5.2633 b=5.2633 c=5.2633 alpha=133.16 beta=133.16 gamma=68.40
Fractional coordinates of all 4 atoms:
Hf (0.7500, 0.2500, 0.5000)
Hf (0.2500, 0.7500, 0.5000)
Hf (0.5000, 0.5000, 0.0000)
Be (0.0000, 0.0000, 0.0000)

Space group = I4/mmm, No. 139
Energy of formation = 2.40 kcal/mol of atoms

# Al5C3N

A relaxed structure of Al5C3N (PBE, the Materials Project database).

Unit cell a=3.3087 b=3.3087 c=21.8276 alpha=90.00 beta=90.00 gamma=120.00
Fractional coordinates of all 18 atoms:
Al (0.0000, 0.0000, 0.1590)
Al (0.6667, 0.3333, 0.5447)
Al (0.6667, 0.3333, 0.7624)
Al (0.3333, 0.6667, 0.4528)
Al (0.3333, 0.6667, 0.0447)
Al (0.0000, 0.0000, 0.3475)
Al (0.0000, 0.0000, 0.6590)
Al (0.6667, 0.3333, 0.9528)
Al (0.3333, 0.6667, 0.2624)
Al (0.0000, 0.0000, 0.8475)
C (0.0000, 0.0000, 0.7489)
C (0.6667, 0.3333, 0.8658)
C (0.0000, 0.0000, 0.2489)
C (0.0000, 0.0000, 0.0023)
C (0.3333, 0.6667, 0.3658)
C (0.0000, 0.0000, 0.5023)
N (0.6667, 0.3333, 0.6297)
N (0.3333, 0.6667, 0.1297)

E above lowest polymorph = 0.0 meV/atom
Space group = P6_3mc, No. 186
Energy of formation = -8.66 kcal/mol of atoms

# Ba2NaSr2Sb3O12

A relaxed structure of Ba2NaSr2Sb3O12 (PBE, the Materials Project database).

Unit cell a=8.3171 b=8.3171 c=8.3441 alpha=90.00 beta=90.00 gamma=90.00
Fractional coordinates of all 40 atoms:
Ba (0.2493, 0.2507, 0.2500)
Ba (0.7507, 0.7493, 0.2500)
Ba (0.7493, 0.2493, 0.7500)
Ba (0.2507, 0.7507, 0.7500)
Na (0.5000, 0.5000, 0.5000)
Na (0.0000, 0.0000, 0.0000)
Sr (0.2486, 0.7486, 0.2500)
Sr (0.7514, 0.2514, 0.2500)
Sr (0.2514, 0.2486, 0.7500)
Sr (0.7486, 0.7514, 0.7500)
Sb (0.5000, 0.5000, 0.0000)
Sb (0.0000, 0.0000, 0.5000)
Sb (0.5000, 0.0000, 0.4996)
Sb (0.0000, 0.5000, 0.9996)
Sb (0.0000, 0.5000, 0.5004)
Sb (0.5000, 0.0000, 0.0004)
O (0.5000, 0.5000, 0.2294)
O (0.0000, 0.0000, 0.7294)
O (0.5000, 0.5000, 0.7706)
O (0.0000, 0.0000, 0.2706)
O (0.2301, 0.4875, 0.5020)
O (0.7699, 0.5125, 0.5020)
O (0.7301, 0.0125, 0.0020)
O (0.2699, 0.9875, 0.0020)
O (0.4875, 0.7699, 0.4980)
O (0.5125, 0.2301, 0.4980)
O (0.0125, 0.2699, 0.9980)
O (0.9875, 0.7301, 0.9980)
O (0.2500, 0.0144, 0.5044)
O (0.7500, 0.9856, 0.5044)
O (0.7500, 0.4856, 0.0044)
O (0.2500, 0.5144, 0.0044)
O (0.0144, 0.7500, 0.4956)
O (0.9856, 0.2500, 0.4956)
O (0.4856, 0.2500, 0.9956)
O (0.5144, 0.7500, 0.9956)
O (0.5000, 0.0000, 0.2500)
O (0.0000, 0.5000, 0.7500)
O (0.0000, 0.5000, 0.2500)
O (0.5000, 0.0000, 0.7500)

E above lowest polymorph = 8.7 meV/atom
Space group = P-4n2, No. 118
Energy of formation = -58.37 kcal/mol of atoms